The following is a DFT calculation (GGA+U) of a relaxed structure of Li2Cr3WO8.

## Properties
Crystal system: triclinic
Total magnetization (μB/f.u.): 9.0
Relative energy among the computed polymorphs (meV per atom): 7
Calculated volume (Å³ per cell): 312.80

Cell: 6.0190 6.0191 10.5170 Å, 73.74 89.94 60.14°
Positions (direct):
Li: 0.1822 0.1290 0.0555
Li: 0.3177 0.8673 0.4446
Li: 0.6823 0.1327 0.5554
Li: 0.8178 0.8710 0.9445
Cr: 0.2480 0.9984 0.7506
Cr: 0.2500 0.5055 0.2499
Cr: 0.2523 0.4960 0.7508
Cr: 0.7477 0.5040 0.2492
Cr: 0.7500 0.4945 0.7501
Cr: 0.7520 0.0016 0.2494
W: 0.0000 0.5000 0.5000
W: 0.5000 0.5000 0.0000
O: 0.1036 0.7427 0.3699
O: 0.1074 0.2884 0.3750
O: 0.1149 0.2659 0.8520
O: 0.1550 0.7343 0.8706
O: 0.3441 0.2569 0.6301
O: 0.3848 0.7302 0.6488
O: 0.3933 0.2705 0.1245
O: 0.3934 0.7170 0.1309
O: 0.6066 0.2830 0.8691
O: 0.6067 0.7295 0.8755
O: 0.6152 0.2698 0.3512
O: 0.6559 0.7431 0.3699
O: 0.8450 0.2657 0.1294
O: 0.8851 0.7341 0.1480
O: 0.8926 0.7116 0.6250
O: 0.8964 0.2573 0.6301

The following is a DFT calculation (GGA+U) of a relaxed structure of Li2MnP4O12.

## Properties
Crystal system: tetragonal
Total magnetization (μB/f.u.): 5.0
Relative energy among the computed polymorphs (meV per atom): 34
Calculated volume (Å³ per cell): 416.08

Cell: 9.4331 9.4331 4.6759 Å, 90.00 90.00 90.00°
Positions (direct):
Li: 0.0000 0.0000 0.0000
Li: 0.0000 0.5000 0.0000
Li: 0.5000 0.0000 0.0000
Li: 0.5000 0.5000 0.0000
Mn: 0.2500 0.2500 0.0000
Mn: 0.7500 0.7500 0.0000
P: 0.0285 0.7500 0.5000
P: 0.2500 0.5285 0.5000
P: 0.2500 0.9715 0.5000
P: 0.4715 0.7500 0.5000
P: 0.5285 0.2500 0.5000
P: 0.7500 0.0285 0.5000
P: 0.7500 0.4715 0.5000
P: 0.9715 0.2500 0.5000
O: 0.0476 0.1788 0.2575
O: 0.0476 0.3212 0.7425
O: 0.1367 0.6367 0.6489
O: 0.1367 0.8633 0.3511
O: 0.1788 0.0476 0.7425
O: 0.1788 0.4524 0.2575
O: 0.3212 0.0476 0.2575
O: 0.3212 0.4524 0.7425
O: 0.3633 0.6367 0.3511
O: 0.3633 0.8633 0.6489
O: 0.4524 0.1788 0.7425
O: 0.4524 0.3212 0.2575
O: 0.5476 0.6788 0.7425
O: 0.5476 0.8212 0.2575
O: 0.6367 0.1367 0.3511
O: 0.6367 0.3633 0.6489
O: 0.6788 0.5476 0.2575
O: 0.6788 0.9524 0.7425
O: 0.8212 0.5476 0.7425
O: 0.8212 0.9524 0.2575
O: 0.8633 0.1367 0.6489
O: 0.8633 0.3633 0.3511
O: 0.9524 0.6788 0.2575
O: 0.9524 0.8212 0.7425

The following is a DFT calculation (GGA+U) of a relaxed structure of Y2W3O12.

## Properties
Crystal system: orthorhombic
Total magnetization (μB/f.u.): 0.0
Uncorrected energy (eV per cell): -545.1
Calculated volume (Å³ per cell): 1551.38

Cell: 14.4703 10.3087 10.4000 Å, 90.00 90.00 90.00°
Positions (direct):
Y: 0.1166 0.2497 0.0312
Y: 0.1166 0.7503 0.5312
Y: 0.3834 0.2503 0.5312
Y: 0.3834 0.7497 0.0312
Y: 0.6166 0.2503 0.9688
Y: 0.6166 0.7497 0.4688
Y: 0.8834 0.2497 0.4688
Y: 0.8834 0.7503 0.9688
W: 0.0000 0.0279 0.7500
W: 0.0000 0.9721 0.2500
W: 0.1430 0.3890 0.3883
W: 0.1430 0.6110 0.8883
W: 0.3570 0.1110 0.8883
W: 0.3570 0.8890 0.3883
W: 0.5000 0.4721 0.2500
W: 0.5000 0.5279 0.7500
W: 0.6430 0.1110 0.6117
W: 0.6430 0.8890 0.1117
W: 0.8570 0.3890 0.1117
W: 0.8570 0.6110 0.6117
O: 0.0354 0.3199 0.4392
O: 0.0354 0.6801 0.9392
O: 0.0644 0.1285 0.8585
O: 0.0644 0.8715 0.3585
O: 0.0785 0.0732 0.1614
O: 0.0785 0.9268 0.6614
O: 0.1405 0.4389 0.9149
O: 0.1405 0.5611 0.4149
O: 0.1584 0.3568 0.2199
O: 0.1584 0.6432 0.7199
O: 0.2358 0.3183 0.4792
O: 0.2358 0.6817 0.9792
O: 0.2642 0.1817 0.9792
O: 0.2642 0.8183 0.4792
O: 0.3416 0.1432 0.7199
O: 0.3416 0.8568 0.2199
O: 0.3595 0.0611 0.4149
O: 0.3595 0.9389 0.9149
O: 0.4215 0.4268 0.6614
O: 0.4215 0.5732 0.1614
O: 0.4356 0.3715 0.3585
O: 0.4356 0.6285 0.8585
O: 0.4646 0.1801 0.9392
O: 0.4646 0.8199 0.4392
O: 0.5354 0.1801 0.5608
O: 0.5354 0.8199 0.0608
O: 0.5644 0.3715 0.1415
O: 0.5644 0.6285 0.6415
O: 0.5785 0.4268 0.8386
O: 0.5785 0.5732 0.3386
O: 0.6405 0.0611 0.0851
O: 0.6405 0.9389 0.5851
O: 0.6584 0.1432 0.7801
O: 0.6584 0.8568 0.2801
O: 0.7358 0.1817 0.5208
O: 0.7358 0.8183 0.0208
O: 0.7642 0.3183 0.0208
O: 0.7642 0.6817 0.5208
O: 0.8416 0.3568 0.2801
O: 0.8416 0.6432 0.7801
O: 0.8595 0.4389 0.5851
O: 0.8595 0.5611 0.0851
O: 0.9215 0.0732 0.3386
O: 0.9215 0.9268 0.8386
O: 0.9356 0.1285 0.6415
O: 0.9356 0.8715 0.1415
O: 0.9646 0.3199 0.0608
O: 0.9646 0.6801 0.5608